[1]
Crystalline K2Na2IrO4 at its relaxed geometry. Source: the Materials Project database, functional PBE-GGA.

```
data_K2Na2IrO4
_chemical_formula_sum 'K8 Na8 Ir4 O16'
_cell_length_a 6.0876
_cell_length_b 11.2974
_cell_length_c 9.4553
_cell_angle_alpha 90.00
_cell_angle_beta 112.94
_cell_angle_gamma 90.00
_symmetry_space_group_name_H-M 'P 1 21/c 1'
_symmetry_Int_Tables_number 14
loop_
_symmetry_equiv_pos_as_xyz
'x,y,z'
'-x,-y,-z'
'-x,y+1/2,-z+1/2'
'x,-y+1/2,z+1/2'
loop_
_atom_site_label
_atom_site_fract_x
_atom_site_fract_y
_atom_site_fract_z
K1 0.1577 0.1344 0.2789
K2 0.1657 0.6374 0.0025
Na1 0.0655 0.1084 0.9058
Na2 0.4319 0.6128 0.4051
Ir1 0.4860 0.1298 0.7291
O1 0.2181 0.0348 0.7242
O2 0.2431 0.7245 0.7614
O3 0.2786 0.2304 0.5664
O4 0.2988 0.5349 0.6010
```

Properties
Electronic total energy ... -179.47 eV per cell
Crystal system ... monoclinic
E_form ... -1569 meV/atom
Calculated density ... 4.219 g cm⁻³


[2]
Crystalline SrTh3 at its relaxed geometry. Source: the Materials Project database, functional PBE-GGA.

```
data_SrTh3
_chemical_formula_sum 'Sr2 Th6'
_cell_length_a 7.3770
_cell_length_b 7.3770
_cell_length_c 5.9749
_cell_angle_alpha 90.00
_cell_angle_beta 90.00
_cell_angle_gamma 120.00
_symmetry_space_group_name_H-M 'P 63/m m c'
_symmetry_Int_Tables_number 194
_symmetry_space_group_name_Hall '-P 6c 2c'
loop_
_atom_site_label
_atom_site_fract_x
_atom_site_fract_y
_atom_site_fract_z
Sr1 0.3333 0.6667 0.2500
Th1 0.1608 0.3216 0.7500
```

Properties
Electronic total energy ... -45.25 eV per cell
Crystal system ... hexagonal
E_form ... 326 meV/atom
Calculated density ... 9.243 g cm⁻³


[3]
Crystalline TbAl10Ru2 at its relaxed geometry. Source: the Materials Project database, functional PBE-GGA.

```
data_TbAl10Ru2
_chemical_formula_sum 'Tb4 Al40 Ru8'
_cell_length_a 9.1048
_cell_length_b 10.2663
_cell_length_c 9.1572
_cell_angle_alpha 90.00
_cell_angle_beta 90.00
_cell_angle_gamma 90.00
_symmetry_space_group_name_H-M 'C m c m'
_symmetry_Int_Tables_number 63
_symmetry_space_group_name_Hall '-C 2c 2'
loop_
_atom_site_label
_atom_site_fract_x
_atom_site_fract_y
_atom_site_fract_z
Tb1 0.0000 0.1261 0.2500
Al1 0.0000 0.1566 0.5996
Al2 0.0000 0.3765 0.0493
Al3 0.1488 0.3713 0.7500
Al4 0.2236 0.3625 0.2500
Al5 0.2274 0.0000 0.0000
Ru1 0.2500 0.2500 0.0000
```

Properties
Electronic total energy ... -269.57 eV per cell
Crystal system ... orthorhombic
E_form ... -520 meV/atom
Calculated density ... 4.896 g cm⁻³


[4]
Crystalline PuS2O12 at its relaxed geometry. Source: the Materials Project database, functional PBE-GGA.

```
data_PuS2O12
_chemical_formula_sum 'Pu8 S16 O96'
_cell_length_a 5.7024
_cell_length_b 13.9836
_cell_length_c 26.3818
_cell_angle_alpha 90.00
_cell_angle_beta 90.00
_cell_angle_gamma 90.00
_symmetry_space_group_name_H-M 'F d d d'
_symmetry_Int_Tables_number 70
loop_
_symmetry_equiv_pos_as_xyz
'x,y,z'
'-x,-y,-z'
'-x+1/4,-y+1/4,z'
'x+1/4,y+1/4,-z'
'x,-y+1/4,-z+1/4'
'-x,y+1/4,z+1/4'
'-x+1/4,y,-z+1/4'
'x+1/4,-y,z+1/4'
'x,y+1/2,z+1/2'
'-x,-y+1/2,-z+1/2'
'-x+1/4,-y+3/4,z+1/2'
'x+1/4,y+3/4,-z+1/2'
'x,-y+3/4,-z+3/4'
'-x,y+3/4,z+3/4'
'-x+1/4,y+1/2,-z+3/4'
'x+1/4,-y+1/2,z+3/4'
'x+1/2,y,z+1/2'
'-x+1/2,-y,-z+1/2'
'-x+3/4,-y+1/4,z+1/2'
'x+3/4,y+1/4,-z+1/2'
'x+1/2,-y+1/4,-z+3/4'
'-x+1/2,y+1/4,z+3/4'
'-x+3/4,y,-z+3/4'
'x+3/4,-y,z+3/4'
'x+1/2,y+1/2,z'
'-x+1/2,-y+1/2,-z'
'-x+3/4,-y+3/4,z'
'x+3/4,y+3/4,-z'
'x+1/2,-y+3/4,-z+1/4'
'-x+1/2,y+3/4,z+1/4'
'-x+3/4,y+1/2,-z+1/4'
'x+3/4,-y+1/2,z+1/4'
loop_
_atom_site_label
_atom_site_fract_x
_atom_site_fract_y
_atom_site_fract_z
Pu1 0.1250 0.1250 0.1250
S1 0.1250 0.1250 0.4321
O1 0.0762 0.3597 0.7167
O2 0.0883 0.3538 0.3260
O3 0.0911 0.0410 0.8513
```

Properties
Electronic total energy ... -776.04 eV per cell
Crystal system ... orthorhombic
E_form ... -1556 meV/atom
Calculated density ... 3.158 g cm⁻³


[5]
Crystalline Ba2SrI6 at its relaxed geometry. Source: the Materials Project database, functional PBE-GGA.

```
data_Ba2SrI6
_chemical_formula_sum 'Ba4 Sr2 I12'
_cell_length_a 8.0160
_cell_length_b 9.1598
_cell_length_c 13.8467
_cell_angle_alpha 90.00
_cell_angle_beta 124.36
_cell_angle_gamma 90.00
_symmetry_space_group_name_H-M 'P 1 21/c 1'
_symmetry_Int_Tables_number 14
loop_
_symmetry_equiv_pos_as_xyz
'x,y,z'
'-x,-y,-z'
'-x,y+1/2,-z+1/2'
'x,-y+1/2,z+1/2'
loop_
_atom_site_label
_atom_site_fract_x
_atom_site_fract_y
_atom_site_fract_z
Ba1 0.2201 0.1085 0.2558
Sr1 0.5000 0.0000 0.0000
I1 0.0960 0.1769 0.9305
I2 0.2749 0.6817 0.9403
I3 0.3667 0.0438 0.7333
```

Properties
Electronic total energy ... -60.84 eV per cell
Crystal system ... monoclinic
E_form ... -2002 meV/atom
Relative energy among the computed polymorphs ... 4.6 meV/atom
Calculated density ... 4.446 g cm⁻³


[6]
Crystalline SiO2 at its relaxed geometry. Source: the Materials Project database, functional PBE-GGA.

```
data_SiO2
_chemical_formula_sum 'Si16 O32'
_cell_length_a 14.4478
_cell_length_b 7.2237
_cell_length_c 9.1098
_cell_angle_alpha 90.00
_cell_angle_beta 90.00
_cell_angle_gamma 90.00
_symmetry_space_group_name_H-M 'P m m a'
_symmetry_Int_Tables_number 51
loop_
_symmetry_equiv_pos_as_xyz
'x,y,z'
'-x,-y,-z'
'-x+1/2,-y,z'
'x+1/2,y,-z'
'x+1/2,-y,-z'
'-x+1/2,y,z'
'-x,y,-z'
'x,-y,z'
loop_
_atom_site_label
_atom_site_fract_x
_atom_site_fract_y
_atom_site_fract_z
Si1 0.0206 0.0000 0.1732
Si2 0.1411 0.2844 0.3408
Si3 0.1431 0.0000 0.5966
O1 0.0000 0.0000 0.0000
O2 0.0773 0.0000 0.7395
O3 0.0794 0.1855 0.2140
O4 0.1114 0.5000 0.3533
O5 0.1225 0.1852 0.4990
O6 0.2500 0.0000 0.6524
O7 0.2500 0.2658 0.2961
```

Properties
Electronic total energy ... -379.23 eV per cell
Crystal system ... orthorhombic
E_form ... -3252 meV/atom
Calculated density ... 1.679 g cm⁻³


[7]
Crystalline SiO2 at its relaxed geometry. Source: the Materials Project database, functional PBE-GGA.

```
data_SiO2
_chemical_formula_sum 'Si24 O48'
_cell_length_a 7.4826
_cell_length_b 19.7280
_cell_length_c 9.8011
_cell_angle_alpha 90.00
_cell_angle_beta 98.66
_cell_angle_gamma 90.00
_symmetry_space_group_name_H-M 'P 1 21/m 1'
_symmetry_Int_Tables_number 11
loop_
_symmetry_equiv_pos_as_xyz
'x,y,z'
'-x,-y,-z'
'-x,y+1/2,-z'
'x,-y+1/2,z'
loop_
_atom_site_label
_atom_site_fract_x
_atom_site_fract_y
_atom_site_fract_z
Si1 0.0353 0.1708 0.3844
Si2 0.0926 0.5551 0.8303
Si3 0.1917 0.5577 0.1545
Si4 0.2088 0.6711 0.3799
Si5 0.4221 0.1073 0.4751
Si6 0.4388 0.0019 0.7155
O1 0.0076 0.2500 0.3405
O2 0.0575 0.6252 0.7447
O3 0.0617 0.6542 0.4815
O4 0.0808 0.0052 0.2100
O5 0.1187 0.5732 0.9936
O6 0.1615 0.6254 0.2418
O7 0.1958 0.7500 0.3335
O8 0.2498 0.1549 0.4213
O9 0.2720 0.5169 0.7954
O10 0.3686 0.0537 0.5891
O11 0.4056 0.5380 0.1744
O12 0.4124 0.6557 0.4574
O13 0.4813 0.0668 0.3444
```

Properties
Electronic total energy ... -569.29 eV per cell
Crystal system ... monoclinic
E_form ... -3258 meV/atom
Calculated density ... 1.674 g cm⁻³


[8]
Crystalline Y2Fe17 at its relaxed geometry. Source: the Materials Project database, functional PBE-GGA.

```
data_Y2Fe17
_chemical_formula_sum 'Y4 Fe34'
_cell_length_a 8.4809
_cell_length_b 8.4809
_cell_length_c 8.2602
_cell_angle_alpha 90.00
_cell_angle_beta 90.00
_cell_angle_gamma 120.00
_symmetry_space_group_name_H-M 'P 63/m m c'
_symmetry_Int_Tables_number 194
_symmetry_space_group_name_Hall '-P 6c 2c'
loop_
_atom_site_label
_atom_site_fract_x
_atom_site_fract_y
_atom_site_fract_z
Y1 0.0000 0.0000 0.2500
Y2 0.3333 0.6667 0.2500
Fe1 0.0000 0.5000 0.0000
Fe2 0.0398 0.3694 0.7500
Fe3 0.1663 0.3326 0.0156
Fe4 0.3333 0.6667 0.6068
```

Properties
Electronic total energy ... -314.15 eV per cell
Crystal system ... hexagonal
E_form ... -8 meV/atom
Calculated density ... 7.275 g cm⁻³